A relaxed CeEuB12 crystal, computed with r2SCAN.

## Properties
ρ in g/cm3: 4.9
Energy of formation in meV per atom: -571
Crystal system: tetragonal

Cell: 4.139 5.859 5.859 Å, 90.00 90.00 90.00°
Atoms (fractional coordinates):
B1 0.500 0.350 0.850
B2 0.500 0.350 0.150
B3 0.800 0.500 0.000
B4 0.500 0.150 0.650
B5 0.500 0.150 0.350
B6 0.500 0.850 0.650
B7 0.500 0.850 0.350
B8 0.200 0.500 0.000
B9 0.500 0.650 0.850
B10 0.500 0.650 0.150
B11 0.200 0.000 0.500
B12 0.800 0.000 0.500
Ce1 0.000 0.500 0.500
Eu1 0.000 0.000 0.000

***

A relaxed CeFe4B4 crystal, computed with r2SCAN.

## Properties
ρ in g/cm3: 7.4
Energy of formation in meV per atom: -296
Crystal system: tetragonal

Cell: 6.959 6.959 3.781 Å, 90.00 90.00 90.00°
Atoms (fractional coordinates):
B1 0.453 0.914 0.147
B2 0.547 0.086 0.853
B3 0.914 0.047 0.353
B4 0.953 0.414 0.853
B5 0.086 0.953 0.647
B6 0.047 0.586 0.147
B7 0.414 0.547 0.647
B8 0.586 0.453 0.353
Fe1 0.880 0.135 0.853
Fe2 0.120 0.865 0.147
Fe3 0.635 0.120 0.353
Fe4 0.865 0.380 0.353
Fe5 0.365 0.880 0.647
Fe6 0.380 0.635 0.147
Fe7 0.620 0.365 0.853
Fe8 0.135 0.620 0.647
Ce1 0.750 0.750 0.750
Ce2 0.250 0.250 0.250

***

A relaxed LaCeB12 crystal, computed with r2SCAN.

## Properties
Energy relative to the lowest polymorph listed for this composition in meV/atom: 0
ρ in g/cm3: 4.8
Energy of formation in meV per atom: -607
Crystal system: tetragonal

Cell: 4.140 4.140 8.284 Å, 90.00 90.00 90.00°
Atoms (fractional coordinates):
B1 0.200 0.500 0.751
B2 0.500 0.500 0.600
B3 0.500 0.500 0.099
B4 0.800 0.500 0.751
B5 0.500 0.800 0.249
B6 0.500 0.500 0.400
B7 0.500 0.500 0.901
B8 0.500 0.200 0.249
B9 0.500 0.200 0.751
B10 0.800 0.500 0.249
B11 0.200 0.500 0.249
B12 0.500 0.800 0.751
Ce1 0.000 0.000 0.000
La1 0.000 0.000 0.500

***

A relaxed LaCeB12 crystal, computed with r2SCAN.

## Properties
Energy relative to the lowest polymorph listed for this composition in meV/atom: 8
ρ in g/cm3: 4.8
Energy of formation in meV per atom: -599
Crystal system: cubic

Cell: 5.854 5.854 5.854 Å, 60.00 60.00 60.00°
Atoms (fractional coordinates):
B1 0.400 0.100 0.100
B2 0.100 0.100 0.400
B3 0.900 0.600 0.900
B4 0.600 0.600 0.900
B5 0.100 0.400 0.100
B6 0.600 0.900 0.900
B7 0.400 0.400 0.100
B8 0.400 0.100 0.400
B9 0.100 0.400 0.400
B10 0.600 0.900 0.600
B11 0.900 0.600 0.600
B12 0.900 0.900 0.600
Ce1 0.000 0.000 0.000
La1 0.500 0.500 0.500

***

A relaxed CeMg6B crystal, computed with r2SCAN.

## Properties
ρ in g/cm3: 2.8
Energy of formation in meV per atom: 229
Crystal system: orthorhombic

Cell: 6.487 6.487 4.349 Å, 90.00 90.00 103.24°
Atoms (fractional coordinates):
B1 0.742 0.258 0.500
Mg1 0.309 0.691 0.000
Mg2 0.592 0.856 0.500
Mg3 0.110 0.890 0.500
Mg4 0.424 0.202 0.000
Mg5 0.144 0.408 0.500
Mg6 0.798 0.576 0.000
Ce1 0.881 0.119 0.000

***

A relaxed Ce4B2N5 crystal, computed with r2SCAN.

## Properties
ρ in g/cm3: 7.2
Energy of formation in meV per atom: -1617
Crystal system: monoclinic

Cell: 6.382 6.382 8.954 Å, 52.35 52.35 32.43°
Atoms (fractional coordinates):
Ce1 0.924 0.924 0.345
Ce2 0.312 0.312 0.114
Ce3 0.076 0.076 0.655
Ce4 0.688 0.688 0.886
N1 0.000 0.000 0.000
N2 0.619 0.619 0.201
N3 0.705 0.705 0.400
N4 0.381 0.381 0.799
N5 0.295 0.295 0.600
B1 0.588 0.588 0.392
B2 0.412 0.412 0.608

***

A relaxed Ce2Re3B6 crystal, computed with r2SCAN.

## Properties
ρ in g/cm3: 11.2
Energy of formation in meV per atom: -562
Crystal system: monoclinic

Cell: 6.280 6.280 7.503 Å, 90.58 90.58 114.62°
Atoms (fractional coordinates):
B1 0.555 0.651 0.464
B2 0.349 0.445 0.036
B3 0.246 0.155 0.135
B4 0.155 0.246 0.635
B5 0.415 0.841 0.518
B6 0.754 0.845 0.865
B7 0.159 0.585 0.982
B8 0.841 0.415 0.018
B9 0.651 0.555 0.964
B10 0.845 0.754 0.365
B11 0.445 0.349 0.536
B12 0.585 0.159 0.482
Re1 0.806 0.990 0.587
Re2 0.589 0.411 0.250
Re3 0.990 0.806 0.087
Re4 0.010 0.194 0.913
Re5 0.411 0.589 0.750
Re6 0.194 0.010 0.413
Ce1 0.097 0.448 0.331
Ce2 0.903 0.552 0.669
Ce3 0.552 0.903 0.169
Ce4 0.448 0.097 0.831

***

A relaxed CeReB4 crystal, computed with r2SCAN.

## Properties
ρ in g/cm3: 9.6
Energy of formation in meV per atom: -609
Crystal system: orthorhombic

Cell: 3.679 6.005 11.632 Å, 90.00 90.00 90.00°
Atoms (fractional coordinates):
Re1 0.000 0.864 0.591
Re2 0.000 0.136 0.409
Re3 0.000 0.636 0.091
Re4 0.000 0.364 0.909
Ce1 0.000 0.627 0.350
Ce2 0.000 0.127 0.150
Ce3 0.000 0.873 0.850
Ce4 0.000 0.373 0.650
B1 0.500 0.215 0.815
B2 0.500 0.361 0.469
B3 0.500 0.285 0.315
B4 0.500 0.888 0.454
B5 0.500 0.861 0.031
B6 0.500 0.388 0.046
B7 0.500 0.475 0.190
B8 0.500 0.975 0.310
B9 0.500 0.139 0.969
B10 0.500 0.025 0.690
B11 0.500 0.639 0.531
B12 0.500 0.112 0.546
B13 0.500 0.525 0.810
B14 0.500 0.612 0.954
B15 0.500 0.785 0.185
B16 0.500 0.715 0.685